Run i
Density functional theory data (PBE+U) for a geometry-optimized Li2FeP4O12 structure.

- Volume: 10.801 A^3/atom
- Size of the total moment: 8.0 Bohr magnetons per cell

a = 9.3755 Å, b = 9.3755 Å, c = 4.6695 Å
α = 90.00°, β = 90.00°, γ = 90.00°
Closest atoms and distances in Å follow each position.
Fractional coordinates of all 38 atoms:
Li (0.0000, 0.0000, 0.0000)  4 O 2.12
Li (0.0000, 0.5000, 0.0000)  4 O 2.12
Li (0.5000, 0.0000, 0.0000)  4 O 2.12
Li (0.5000, 0.5000, 0.0000)  4 O 2.12
Fe (0.2500, 0.2500, 0.0000)  8 O 2.32
Fe (0.7500, 0.7500, 0.0000)  8 O 2.32
P (0.0259, 0.7500, 0.5000)  4 O 1.50-1.63
P (0.2500, 0.5259, 0.5000)  4 O 1.50-1.63
P (0.2500, 0.9741, 0.5000)  4 O 1.50-1.63
P (0.4741, 0.7500, 0.5000)  4 O 1.50-1.63
P (0.5259, 0.2500, 0.5000)  4 O 1.50-1.63
P (0.7500, 0.0259, 0.5000)  4 O 1.50-1.63
P (0.7500, 0.4741, 0.5000)  4 O 1.50-1.63
P (0.9741, 0.2500, 0.5000)  4 O 1.50-1.63
O (0.0497, 0.1799, 0.2544)  1 P 1.50
O (0.0497, 0.3201, 0.7456)  1 P 1.50
O (0.1345, 0.6345, 0.6450)  2 P 1.63
O (0.1345, 0.8655, 0.3550)  2 P 1.63
O (0.1799, 0.0497, 0.7456)  1 P 1.50
O (0.1799, 0.4503, 0.2544)  1 P 1.50
O (0.3201, 0.0497, 0.2544)  1 P 1.50
O (0.3201, 0.4503, 0.7456)  1 P 1.50
O (0.3655, 0.6345, 0.3550)  2 P 1.63
O (0.3655, 0.8655, 0.6450)  2 P 1.63
O (0.4503, 0.1799, 0.7456)  1 P 1.50
O (0.4503, 0.3201, 0.2544)  1 P 1.50
O (0.5497, 0.6799, 0.7456)  1 P 1.50
O (0.5497, 0.8201, 0.2544)  1 P 1.50
O (0.6345, 0.1345, 0.3550)  2 P 1.63
O (0.6345, 0.3655, 0.6450)  2 P 1.63
O (0.6799, 0.5497, 0.2544)  1 P 1.50
O (0.6799, 0.9503, 0.7456)  1 P 1.50
O (0.8201, 0.5497, 0.7456)  1 P 1.50
O (0.8201, 0.9503, 0.2544)  1 P 1.50
O (0.8655, 0.1345, 0.6450)  2 P 1.63
O (0.8655, 0.3655, 0.3550)  2 P 1.63
O (0.9503, 0.6799, 0.2544)  1 P 1.50
O (0.9503, 0.8201, 0.7456)  1 P 1.50

***

Run ii
Density functional theory data (PBE+U) for a geometry-optimized Li2FeP4O12 structure.

- Volume: 12.888 A^3/atom
- Size of the total moment: 8.0 Bohr magnetons per cell

a = 8.5187 Å, b = 8.5187 Å, c = 7.4782 Å
α = 94.27°, β = 94.27°, γ = 114.34°
Closest atoms and distances in Å follow each position.
Fractional coordinates of all 38 atoms:
Li (0.0141, 0.3145, 0.2102)  3 O 2.03-2.21
Li (0.3145, 0.0141, 0.7102)  3 O 2.03-2.21
Li (0.6855, 0.9859, 0.2898)  3 O 2.03-2.21
Li (0.9859, 0.6855, 0.7898)  3 O 2.03-2.21
Fe (0.3651, 0.6349, 0.2500)  6 O 2.08-2.27
Fe (0.6349, 0.3651, 0.7500)  6 O 2.08-2.27
P (0.0571, 0.7311, 0.3809)  4 O 1.50-1.61
P (0.2689, 0.9429, 0.1191)  4 O 1.50-1.61
P (0.2896, 0.4348, 0.8317)  4 O 1.50-1.61
P (0.4348, 0.2896, 0.3317)  4 O 1.50-1.61
P (0.5652, 0.7104, 0.6683)  4 O 1.50-1.61
P (0.7104, 0.5652, 0.1683)  4 O 1.50-1.61
P (0.7311, 0.0571, 0.8809)  4 O 1.50-1.61
P (0.9429, 0.2689, 0.6191)  4 O 1.50-1.61
O (0.1058, 0.8119, 0.5736)  1 P 1.50
O (0.1129, 0.5903, 0.3194)  1 P 1.52
O (0.1183, 0.8817, 0.2500)  2 P 1.61
O (0.1468, 0.3321, 0.6612)  2 P 1.59-1.61
O (0.1881, 0.8942, 0.9264)  1 P 1.50
O (0.2068, 0.4648, 0.9940)  1 P 1.51
O (0.3321, 0.1468, 0.1612)  2 P 1.59-1.61
O (0.3405, 0.4045, 0.3472)  1 P 1.50
O (0.3837, 0.6163, 0.7500)  2 P 1.61
O (0.4045, 0.3405, 0.8472)  1 P 1.50
O (0.4097, 0.8871, 0.1806)  1 P 1.52
O (0.4648, 0.2068, 0.4940)  1 P 1.51
O (0.5352, 0.7932, 0.5060)  1 P 1.51
O (0.5903, 0.1129, 0.8194)  1 P 1.52
O (0.5955, 0.6595, 0.1528)  1 P 1.50
O (0.6163, 0.3837, 0.2500)  2 P 1.61
O (0.6595, 0.5955, 0.6528)  1 P 1.50
O (0.6679, 0.8532, 0.8388)  2 P 1.59-1.61
O (0.7932, 0.5352, 0.0060)  1 P 1.51
O (0.8119, 0.1058, 0.0736)  1 P 1.50
O (0.8532, 0.6679, 0.3388)  2 P 1.59-1.61
O (0.8817, 0.1183, 0.7500)  2 P 1.61
O (0.8871, 0.4097, 0.6806)  1 P 1.52
O (0.8942, 0.1881, 0.4264)  1 P 1.50

***

The winner here is run ii, beating the second structure by 26 meV/atom.

***

Run i
Density functional theory data (PBE+U) for a geometry-optimized LiMn2O3F structure.

- Volume: 11.296 A^3/atom
- Size of the total moment: 8.0 Bohr magnetons per cell

a = 6.1621 Å, b = 6.1621 Å, c = 10.1739 Å
α = 106.49°, β = 106.49°, γ = 60.07°
Closest atoms and distances in Å follow each position.
Fractional coordinates of all 28 atoms:
Li (0.0523, 0.0523, 0.1591)  1 F 1.91, 3 O 2.02-2.11
Li (0.4647, 0.4319, 0.3407)  1 F 1.91, 3 O 2.03-2.10
Li (0.5681, 0.5353, 0.6593)  1 F 1.91, 3 O 2.03-2.10
Li (0.9477, 0.9477, 0.8409)  1 F 1.91, 3 O 2.02-2.11
Mn (0.0202, 0.4828, 0.5009)  4 O 1.93-1.99
Mn (0.0243, 0.9757, 0.5000)  4 O 1.94-1.99
Mn (0.2590, 0.2386, 0.7485)  5 O 1.99-2.19
Mn (0.4910, 0.5090, 0.0000)  4 O 1.93-1.99
Mn (0.4964, 0.0011, 0.9999)  4 O 1.92-1.99
Mn (0.5172, 0.9798, 0.4991)  4 O 1.93-1.99
Mn (0.7614, 0.7410, 0.2515)  5 O 1.99-2.19
Mn (0.9989, 0.5036, 0.0001)  4 O 1.92-1.99
O (0.1192, 0.6313, 0.4000)  2 Mn 1.93-1.94, 1 Li 2.03
O (0.1474, 0.6034, 0.8999)  2 Mn 1.92-1.93, 1 Li 2.02
O (0.1524, 0.1584, 0.8884)  3 Mn 1.98-1.99, 1 Li 2.11
O (0.3638, 0.3262, 0.6111)  3 Mn 1.97-1.99, 1 Li 2.10
O (0.3687, 0.8808, 0.6000)  2 Mn 1.93-1.94, 1 Li 2.03
O (0.3966, 0.8526, 0.1001)  2 Mn 1.92-1.93, 1 Li 2.02
O (0.5828, 0.1592, 0.8916)  3 Mn 1.98-2.03, 1 Li 2.09
O (0.6739, 0.0674, 0.3919)  3 Mn 1.97-2.03, 1 Li 2.09
O (0.6738, 0.6362, 0.3889)  3 Mn 1.97-1.99, 1 Li 2.10
O (0.8408, 0.4172, 0.1084)  3 Mn 1.98-2.03, 1 Li 2.09
O (0.8416, 0.8476, 0.1116)  3 Mn 1.98-1.99, 1 Li 2.11
O (0.9326, 0.3261, 0.6081)  3 Mn 1.97-2.03, 1 Li 2.09
F (0.1363, 0.1095, 0.3576)  1 Li 1.91
F (0.3789, 0.3752, 0.1427)  1 Li 1.91
F (0.6248, 0.6211, 0.8573)  1 Li 1.91
F (0.8905, 0.8637, 0.6424)  1 Li 1.91

***

Run ii
Density functional theory data (PBE+U) for a geometry-optimized LiMn2O3F structure.

- Volume: 11.079 A^3/atom
- Size of the total moment: 32.0 Bohr magnetons per cell

a = 7.9334 Å, b = 7.9334 Å, c = 7.9334 Å
α = 134.69°, β = 82.81°, γ = 114.96°
Closest atoms and distances in Å follow each position.
Fractional coordinates of all 28 atoms:
Li (0.1227, 0.0000, 0.1227)  2 F 1.88-1.91, 2 O 2.04
Li (0.1578, 0.7867, 0.3711)  1 F 1.90, 3 O 1.97-2.08
Li (0.4156, 0.7867, 0.6289)  1 F 1.90, 3 O 1.97-2.08
Li (0.8773, 0.0000, 0.8773)  2 F 1.88-1.91, 2 O 2.04
Mn (0.1560, 0.4059, 0.7501)  5 O 1.97-2.15
Mn (0.3855, 0.3855, 0.0000)  4 O 2.00, 1 F 2.11
Mn (0.5254, 0.4066, 0.6326)  5 O 1.97-2.16, 1 F 2.17
Mn (0.5254, 0.8928, 0.1188)  5 O 1.97-2.16, 1 F 2.17
Mn (0.6558, 0.4059, 0.2499)  5 O 1.97-2.15
Mn (0.7740, 0.4066, 0.8812)  5 O 1.97-2.16, 1 F 2.17
Mn (0.7740, 0.8928, 0.3674)  5 O 1.97-2.16, 1 F 2.17
Mn (0.9128, 0.4128, 0.5000)  4 O 2.01, 1 F 2.08
O (0.0048, 0.1656, 0.4145)  3 Mn 1.97-2.01, 1 Li 2.04
O (0.0048, 0.5903, 0.8393)  3 Mn 1.97-2.01, 1 Li 2.04
O (0.2947, 0.2057, 0.6607)  3 Mn 1.97-2.00, 1 Li 2.08
O (0.2947, 0.6340, 0.0890)  3 Mn 1.97-2.00, 1 Li 2.08
O (0.4233, 0.6571, 0.7663)  1 Li 1.97, 3 Mn 1.98-2.15
O (0.5450, 0.2057, 0.9110)  3 Mn 1.97-2.00, 1 Li 2.08
O (0.5450, 0.6340, 0.3393)  3 Mn 1.97-2.00, 1 Li 2.08
O (0.6455, 0.1455, 0.5000)  5 Mn 2.16-2.28
O (0.6565, 0.6565, 0.0000)  5 Mn 2.10-2.31
O (0.7511, 0.1656, 0.1607)  3 Mn 1.97-2.01, 1 Li 2.04
O (0.7511, 0.5903, 0.5855)  3 Mn 1.97-2.01, 1 Li 2.04
O (0.8908, 0.6571, 0.2337)  1 Li 1.97, 3 Mn 1.98-2.15
F (0.1381, 0.1381, 0.0000)  2 Li 1.88
F (0.1562, 0.6562, 0.5000)  2 Li 1.90, 1 Mn 2.08
F (0.3870, 0.1369, 0.2501)  1 Li 1.91
F (0.8869, 0.1369, 0.7499)  1 Li 1.91

***

The winner here is run i, beating the second structure by 44 meV/atom.

***

Run i
Density functional theory data (PBE+U) for a geometry-optimized Y2Cr3O12 structure.

- Volume: 13.265 A^3/atom
- Size of the total moment: 0.0 Bohr magnetons per cell

a = 5.0854 Å, b = 6.8318 Å, c = 14.1934 Å
α = 85.06°, β = 80.05°, γ = 68.25°
Closest atoms and distances in Å follow each position.
Fractional coordinates of all 34 atoms:
Y (0.1201, 0.2070, 0.0462)  8 O 2.32-2.49
Y (0.1270, 0.8725, 0.3769)  8 O 2.34-2.46
Y (0.8730, 0.1275, 0.6231)  8 O 2.34-2.46
Y (0.8799, 0.7930, 0.9538)  8 O 2.32-2.49
Cr (0.3665, 0.9670, 0.7958)  4 O 1.64-1.74
Cr (0.3715, 0.6268, 0.1221)  4 O 1.63-1.72
Cr (0.3859, 0.2844, 0.4549)  4 O 1.65-1.73
Cr (0.6141, 0.7156, 0.5451)  4 O 1.65-1.73
Cr (0.6285, 0.3732, 0.8779)  4 O 1.63-1.72
Cr (0.6335, 0.0330, 0.2042)  4 O 1.64-1.74
O (0.1482, 0.0139, 0.9066)  1 Cr 1.74
O (0.1795, 0.5467, 0.0558)  1 Cr 1.72
O (0.1833, 0.3070, 0.5608)  1 Cr 1.65
O (0.1828, 0.6959, 0.2274)  1 Cr 1.63
O (0.1941, 0.8894, 0.7268)  1 Cr 1.66
O (0.2576, 0.1732, 0.3847)  1 Cr 1.65
O (0.2705, 0.8741, 0.5273)  1 Cr 1.73
O (0.3191, 0.5583, 0.8663)  1 Cr 1.64
O (0.3221, 0.2086, 0.1806)  1 Cr 1.66
O (0.3826, 0.5162, 0.4094)  1 Cr 1.65
O (0.4378, 0.1644, 0.7384)  1 Cr 1.64
O (0.4451, 0.8330, 0.0609)  1 Cr 1.72
O (0.5549, 0.1670, 0.9391)  1 Cr 1.72
O (0.5622, 0.8356, 0.2616)  1 Cr 1.64
O (0.6174, 0.4838, 0.5906)  1 Cr 1.65
O (0.6779, 0.7914, 0.8194)  1 Cr 1.66
O (0.6809, 0.4417, 0.1337)  1 Cr 1.64
O (0.7295, 0.1259, 0.4727)  1 Cr 1.73
O (0.7424, 0.8268, 0.6153)  1 Cr 1.65
O (0.8059, 0.1106, 0.2732)  1 Cr 1.66
O (0.8172, 0.3041, 0.7726)  1 Cr 1.63
O (0.8167, 0.6930, 0.4392)  1 Cr 1.65
O (0.8205, 0.4533, 0.9442)  1 Cr 1.72
O (0.8518, 0.9861, 0.0934)  1 Cr 1.74

***

Run ii
Density functional theory data (PBE+U) for a geometry-optimized Y2Cr3O12 structure.

- Volume: 14.411 A^3/atom

a = 16.1341 Å, b = 15.6225 Å, c = 5.9918 Å
α = 83.97°, β = 74.35°, γ = 21.67°
Closest atoms and distances in Å follow each position.
Fractional coordinates of all 34 atoms:
Y (0.0452, 0.0452, 0.7048)  8 O 2.25-2.49
Y (0.2952, 0.2952, 0.9548)  8 O 2.25-2.49
Y (0.7048, 0.7048, 0.0452)  8 O 2.25-2.49
Y (0.9548, 0.9548, 0.2952)  8 O 2.25-2.49
Cr (0.1250, 0.1250, 0.1250)  4 O 1.67
Cr (0.2094, 0.2094, 0.5406)  4 O 1.65-1.71
Cr (0.4594, 0.4594, 0.7906)  4 O 1.65-1.71
Cr (0.5406, 0.5406, 0.2094)  4 O 1.65-1.71
Cr (0.7906, 0.7906, 0.4594)  4 O 1.65-1.71
Cr (0.8750, 0.8750, 0.8750)  4 O 1.67
O (0.0356, 0.1502, 0.4020)  1 Cr 1.67
O (0.0719, 0.5707, 0.3509)  1 Cr 1.65
O (0.0877, 0.5980, 0.8498)  1 Cr 1.67
O (0.1502, 0.0356, 0.9123)  1 Cr 1.67
O (0.1578, 0.3209, 0.7769)  1 Cr 1.71
O (0.2231, 0.7556, 0.8422)  1 Cr 1.71
O (0.2444, 0.7769, 0.3209)  1 Cr 1.71
O (0.3209, 0.1578, 0.2444)  1 Cr 1.71
O (0.3509, 0.5065, 0.0719)  1 Cr 1.65
O (0.4020, 0.9123, 0.0356)  1 Cr 1.67
O (0.4293, 0.9281, 0.4935)  1 Cr 1.65
O (0.4935, 0.6491, 0.4293)  1 Cr 1.65
O (0.5065, 0.3509, 0.5707)  1 Cr 1.65
O (0.5707, 0.0719, 0.5065)  1 Cr 1.65
O (0.5980, 0.0877, 0.9644)  1 Cr 1.67
O (0.6491, 0.4935, 0.9281)  1 Cr 1.65
O (0.6791, 0.8422, 0.7556)  1 Cr 1.71
O (0.7556, 0.2231, 0.6791)  1 Cr 1.71
O (0.7769, 0.2444, 0.1578)  1 Cr 1.71
O (0.8422, 0.6791, 0.2231)  1 Cr 1.71
O (0.8498, 0.9644, 0.0877)  1 Cr 1.67
O (0.9123, 0.4020, 0.1502)  1 Cr 1.67
O (0.9281, 0.4293, 0.6491)  1 Cr 1.65
O (0.9644, 0.8498, 0.5980)  1 Cr 1.67

***

The winner here is run ii, beating the second structure by 34 meV/atom.